1.
Compound: Li2Co2Si2O7
Source: Materials Project
Functional: PBE with a Hubbard U
Structure: relaxed

Summary:
E_tot	-0.2468	Ha/atom
distance to the lowest polymorph of the same formula	0.0	meV/atom
space-group type	P2_1/c
volume	11.5	A^3/atom
energy of formation	-2.452	eV/atom

Cell lengths 5.467, 13.106, 9.960 Å; angles 90.00, 122.83, 90.00 degrees
Sites, in units of the cell vectors:
Li 0.036 0.245 0.331
Li 0.036 0.255 0.831
Li 0.268 0.134 0.612
Li 0.268 0.366 0.112
Li 0.732 0.634 0.888
Li 0.732 0.866 0.388
Li 0.964 0.745 0.169
Li 0.964 0.755 0.669
Co 0.156 0.508 0.795
Co 0.156 0.992 0.295
Co 0.455 0.085 0.115
Co 0.455 0.415 0.615
Co 0.545 0.585 0.385
Co 0.545 0.915 0.885
Co 0.844 0.008 0.705
Co 0.844 0.492 0.205
Si 0.222 0.615 0.538
Si 0.222 0.885 0.038
Si 0.364 0.670 0.044
Si 0.364 0.830 0.544
Si 0.636 0.170 0.456
Si 0.636 0.330 0.956
Si 0.778 0.115 0.962
Si 0.778 0.385 0.462
O 0.076 0.636 0.871
O 0.076 0.864 0.371
O 0.085 0.164 0.008
O 0.085 0.336 0.508
O 0.210 0.531 0.410
O 0.210 0.969 0.910
O 0.297 0.659 0.184
O 0.297 0.841 0.684
O 0.337 0.117 0.427
O 0.337 0.383 0.927
O 0.402 0.556 0.712
O 0.402 0.944 0.212
O 0.434 0.706 0.538
O 0.434 0.794 0.038
O 0.566 0.206 0.962
O 0.566 0.294 0.462
O 0.598 0.056 0.788
O 0.598 0.444 0.288
O 0.663 0.617 0.073
O 0.663 0.883 0.573
O 0.703 0.159 0.316
O 0.703 0.341 0.816
O 0.790 0.031 0.090
O 0.790 0.469 0.590
O 0.915 0.664 0.492
O 0.915 0.836 0.992
O 0.924 0.136 0.629
O 0.924 0.364 0.129

***

2.
Compound: LiMnP3O9
Source: Materials Project
Functional: PBE with a Hubbard U
Structure: relaxed

Summary:
E_tot	-0.2624	Ha/atom
distance to the lowest polymorph of the same formula	64.4	meV/atom
space-group type	P2_12_12_1
volume	12.6	A^3/atom
energy of formation	-2.570	eV/atom

Cell lengths 5.393, 10.829, 12.079 Å; angles 90.00, 90.00, 90.00 degrees
Sites, in units of the cell vectors:
Li 0.101 0.116 0.082
Li 0.399 0.884 0.582
Li 0.601 0.384 0.918
Li 0.899 0.616 0.418
Mn 0.097 0.471 0.134
Mn 0.403 0.529 0.634
Mn 0.597 0.029 0.866
Mn 0.903 0.971 0.366
P 0.084 0.193 0.819
P 0.106 0.847 0.859
P 0.120 0.576 0.875
P 0.380 0.424 0.375
P 0.394 0.153 0.359
P 0.416 0.807 0.319
P 0.584 0.307 0.181
P 0.606 0.653 0.141
P 0.620 0.924 0.125
P 0.880 0.076 0.625
P 0.894 0.347 0.641
P 0.916 0.693 0.681
O 0.005 0.492 0.959
O 0.040 0.438 0.573
O 0.076 0.317 0.746
O 0.086 0.089 0.723
O 0.120 0.716 0.923
O 0.136 0.459 0.323
O 0.140 0.120 0.317
O 0.152 0.687 0.613
O 0.173 0.815 0.379
O 0.327 0.185 0.879
O 0.348 0.313 0.113
O 0.360 0.880 0.817
O 0.364 0.541 0.823
O 0.380 0.284 0.423
O 0.414 0.911 0.223
O 0.424 0.683 0.246
O 0.460 0.562 0.073
O 0.495 0.508 0.459
O 0.505 0.008 0.041
O 0.540 0.062 0.427
O 0.576 0.183 0.254
O 0.586 0.411 0.277
O 0.620 0.784 0.077
O 0.636 0.041 0.677
O 0.640 0.380 0.683
O 0.652 0.813 0.387
O 0.673 0.685 0.621
O 0.827 0.315 0.121
O 0.848 0.187 0.887
O 0.860 0.620 0.183
O 0.864 0.959 0.177
O 0.880 0.216 0.577
O 0.914 0.589 0.777
O 0.924 0.817 0.754
O 0.960 0.938 0.927
O 0.995 0.992 0.541

***

3.
Compound: KSmW2O8
Source: Materials Project
Functional: PBE with a Hubbard U
Structure: relaxed

Summary:
E_tot	-0.2722	Ha/atom
space-group type	C2/m
volume	14.3	A^3/atom
energy of formation	-2.660	eV/atom

Cell lengths 7.483, 7.483, 7.560 Å; angles 113.58, 113.58, 93.14 degrees
Sites, in units of the cell vectors:
K 0.189 0.189 0.026
K 0.811 0.811 0.974
Sm 0.199 0.801 0.500
Sm 0.801 0.199 0.500
W 0.295 0.295 0.555
W 0.338 0.662 0.000
W 0.662 0.338 0.000
W 0.705 0.705 0.445
O 0.071 0.071 0.389
O 0.151 0.404 0.759
O 0.192 0.717 0.149
O 0.205 0.462 0.436
O 0.283 0.808 0.851
O 0.404 0.151 0.759
O 0.462 0.205 0.436
O 0.483 0.483 0.156
O 0.517 0.517 0.844
O 0.538 0.795 0.564
O 0.596 0.849 0.241
O 0.717 0.192 0.149
O 0.795 0.538 0.564
O 0.808 0.283 0.851
O 0.849 0.596 0.241
O 0.929 0.929 0.611

***

4.
Compound: Li4Ti2V3Ni3O16
Source: Materials Project
Functional: PBE with a Hubbard U
Structure: relaxed

Summary:
E_tot	-0.2492	Ha/atom
space-group type	P1
volume	10.3	A^3/atom
energy of formation	-2.372	eV/atom

Cell lengths 5.864, 5.893, 9.609 Å; angles 90.50, 90.04, 119.75 degrees
Sites, in units of the cell vectors:
Li 0.000 0.000 0.000
Li 0.008 0.006 0.509
Li 0.343 0.687 0.602
Li 0.662 0.341 0.094
Ti 0.337 0.669 0.988
Ti 0.642 0.292 0.508
V 0.170 0.816 0.271
V 0.663 0.817 0.286
V 0.825 0.644 0.763
Ni 0.172 0.341 0.292
Ni 0.341 0.173 0.790
Ni 0.832 0.173 0.790
O 0.008 0.991 0.193
O 0.035 0.536 0.163
O 0.165 0.824 0.903
O 0.172 0.342 0.912
O 0.333 0.697 0.395
O 0.337 0.167 0.405
O 0.471 0.975 0.167
O 0.501 0.550 0.164
O 0.527 0.053 0.648
O 0.537 0.509 0.653
O 0.660 0.827 0.904
O 0.690 0.381 0.892
O 0.820 0.152 0.400
O 0.846 0.678 0.394
O 0.974 0.507 0.654
O 0.989 0.977 0.698